(1)
First-principles (PBE) data for NaOs3N6 after structural relaxation, as listed in Materials Project.

Results
E_form = 221 meV/atom
space-group type = No. 14

Lattice parameters (Å, degrees): 5.522 5.362 9.369 90.00 84.17 90.00
Positions (direct):
1 N 0.180 0.505 0.118
2 N 0.820 0.495 0.882
3 N 0.937 0.315 0.408
4 N 0.563 0.815 0.092
5 N 0.680 0.995 0.618
6 N 0.336 0.668 0.829
7 N 0.063 0.685 0.592
8 N 0.320 0.005 0.382
9 N 0.437 0.185 0.908
10 N 0.164 0.168 0.671
11 N 0.836 0.832 0.329
12 N 0.664 0.332 0.171
13 Os 0.000 0.000 0.500
14 Os 0.431 0.995 0.753
15 Os 0.500 0.500 0.000
16 Os 0.931 0.505 0.253
17 Os 0.069 0.495 0.747
18 Os 0.569 0.005 0.247
19 Na 0.000 0.000 0.000
20 Na 0.500 0.500 0.500


(2)
First-principles (PBE) data for Tm2MnS4 after structural relaxation, as listed in Materials Project.

Results
E_form = -1828 meV/atom
space-group type = No. 122

Lattice parameters (Å, degrees): 7.105 7.105 7.105 110.62 110.62 107.20
Positions (direct):
1 S 0.618 0.485 0.734
2 S 0.634 0.001 0.766
3 S 0.999 0.765 0.634
4 S 0.116 0.382 0.866
5 S 0.235 0.868 0.234
6 S 0.132 0.366 0.366
7 S 0.751 0.884 0.266
8 S 0.515 0.249 0.134
9 Mn 0.750 0.250 0.500
10 Mn 0.000 0.000 0.000
11 Tm 0.375 0.762 0.887
12 Tm 0.875 0.488 0.113
13 Tm 0.512 0.625 0.387
14 Tm 0.238 0.125 0.613


(3)
First-principles (PBE) data for Mg2Cd after structural relaxation, as listed in Materials Project.

Results
E_form = -63 meV/atom
space-group type = No. 63

Lattice parameters (Å, degrees): 8.249 8.249 5.153 90.00 90.00 157.44
Positions (direct):
1 Mg 0.944 0.056 0.250
2 Mg 0.387 0.613 0.750
3 Mg 0.056 0.944 0.750
4 Mg 0.613 0.387 0.250
5 Cd 0.279 0.721 0.250
6 Cd 0.721 0.279 0.750


(4)
First-principles (PBE) data for Li2Ta3S6 after structural relaxation, as listed in Materials Project.

Results
E_form = -1527 meV/atom
space-group type = No. 182

Lattice parameters (Å, degrees): 5.809 5.809 12.986 90.00 90.00 120.00
Positions (direct):
1 S 0.999 0.334 0.120
2 S 0.335 0.334 0.380
3 S 0.001 0.335 0.880
4 S 0.666 0.001 0.380
5 S 0.665 0.999 0.620
6 S 0.334 0.999 0.880
7 S 0.335 0.001 0.120
8 S 0.334 0.335 0.620
9 S 0.665 0.666 0.880
10 S 0.666 0.665 0.120
11 S 0.001 0.666 0.620
12 S 0.999 0.665 0.380
13 Ta 0.333 0.667 0.999
14 Ta 0.333 0.667 0.501
15 Ta 0.667 0.333 0.499
16 Ta 0.667 0.333 0.001
17 Ta 0.000 0.000 0.000
18 Ta 0.000 0.000 0.500
19 Li 0.667 0.333 0.750
20 Li 0.000 0.000 0.250
21 Li 0.000 0.000 0.750
22 Li 0.333 0.667 0.250


(5)
First-principles (PBE) data for MgSb2O5 after structural relaxation, as listed in Materials Project.

Results
E_form = -1854 meV/atom
space-group type = No. 63

Lattice parameters (Å, degrees): 4.004 5.549 12.955 90.00 90.00 111.15
Positions (direct):
1 O 0.696 0.392 0.250
2 O 0.027 0.055 0.635
3 O 0.244 0.487 0.089
4 O 0.973 0.945 0.135
5 O 0.756 0.513 0.589
6 O 0.756 0.513 0.911
7 O 0.304 0.608 0.750
8 O 0.027 0.055 0.865
9 O 0.973 0.945 0.365
10 O 0.244 0.487 0.411
11 Sb 0.205 0.409 0.607
12 Sb 0.795 0.591 0.107
13 Sb 0.795 0.591 0.393
14 Sb 0.205 0.409 0.893
15 Mg 0.907 0.814 0.750
16 Mg 0.093 0.186 0.250


(6)
First-principles (PBE) data for NaCaN3 after structural relaxation, as listed in Materials Project.

Results
E_form = 1246 meV/atom
space-group type = No. 70

Lattice parameters (Å, degrees): 12.852 12.509 5.862 79.92 73.39 26.68
Positions (direct):
1 Ca 0.327 0.327 0.173
2 Ca 0.923 0.923 0.077
3 Ca 0.173 0.173 0.327
4 Ca 0.077 0.077 0.923
5 N 0.651 0.135 0.844
6 N 0.024 0.476 0.476
7 N 0.880 0.406 0.115
8 N 0.476 0.024 0.024
9 N 0.370 0.844 0.135
10 N 0.774 0.226 0.226
11 N 0.844 0.370 0.651
12 N 0.115 0.599 0.880
13 N 0.599 0.115 0.406
14 N 0.226 0.774 0.774
15 N 0.135 0.651 0.370
16 N 0.406 0.880 0.599
17 Na 0.568 0.568 0.432
18 Na 0.818 0.818 0.682
19 Na 0.682 0.682 0.818
20 Na 0.432 0.432 0.568